Entry 1:
DyAl PBE-GGA relaxed; crystal system = cubic; space-group type = Pm-3m (221); formation energy = -0.39 eV/atom
1.0
3.597 0.000 0.000
0.000 3.597 0.000
0.000 0.000 3.597
Dy Al
1 1
direct
0.000 0.000 0.000
0.500 0.500 0.500


Entry 2:
CeAlO3 PBE-GGA relaxed; crystal system = trigonal; space-group type = R-3c (167); formation energy = -3.62 eV/atom
1.0
2.686 1.551 4.376
-2.686 1.551 4.376
0.000 -3.102 4.376
Ce Al O
2 2 6
direct
0.250 0.250 0.250
0.750 0.750 0.750
0.000 0.000 0.000
0.500 0.500 0.500
0.206 0.750 0.294
0.250 0.706 0.794
0.294 0.206 0.750
0.706 0.794 0.250
0.750 0.294 0.206
0.794 0.250 0.706


Entry 3:
NpGa5Ni PBE-GGA relaxed; crystal system = tetragonal; space-group type = P4/mmm (123); formation energy = -0.31 eV/atom
1.0
4.247 0.000 0.000
0.000 4.247 0.000
0.000 0.000 6.872
Np Ga Ni
1 5 1
direct
0.000 0.000 0.000
0.000 0.500 0.306
0.000 0.500 0.694
0.500 0.000 0.306
0.500 0.000 0.694
0.500 0.500 0.000
0.000 0.000 0.500


Entry 4:
ZrZn3F6 PBE-GGA relaxed; total moment = 0.06 μB/f.u.; crystal system = triclinic; space-group type = P-1 (2); formation energy = -2.53 eV/atom
1.0
4.894 0.000 0.000
1.040 5.393 0.000
2.443 0.442 7.632
Zr Zn F
1 3 6
direct
0.000 0.000 0.000
0.000 0.000 0.500
0.500 0.000 0.500
0.500 0.500 0.000
0.186 0.756 0.170
0.207 0.282 0.013
0.363 0.799 0.831
0.637 0.201 0.169
0.793 0.718 0.987
0.814 0.244 0.830


Entry 5:
MgSn5 PBE-GGA relaxed; crystal system = hexagonal; space-group type = P-62m (189); formation energy = 0.02 eV/atom
1.0
5.866 0.000 0.000
-2.933 5.080 0.000
0.000 0.000 5.404
Mg Sn
1 5
direct
0.000 0.000 0.000
0.000 0.675 0.500
0.325 0.325 0.500
0.333 0.667 0.000
0.667 0.333 0.000
0.675 0.000 0.500


Entry 6:
TbMnGa PBE-GGA relaxed; total moment = 3.09 μB/f.u.; crystal system = hexagonal; space-group type = P-62m (189); formation energy = -0.19 eV/atom
1.0
7.272 0.000 0.000
-3.636 6.298 0.000
0.000 0.000 3.894
Tb Mn Ga
3 3 3
direct
0.000 0.586 0.000
0.414 0.414 0.000
0.586 0.000 0.000
0.000 0.000 0.000
0.333 0.667 0.500
0.667 0.333 0.500
0.000 0.257 0.500
0.257 0.000 0.500
0.743 0.743 0.500


Entry 7:
Ti2VTe4 PBE-GGA relaxed; crystal system = monoclinic; space-group type = C2/m (12); distance to the lowest polymorph of the same formula = 0 meV/atom; formation energy = -0.84 eV/atom
1.0
7.200 -1.928 0.000
7.200 1.928 0.000
-3.237 0.000 6.142
Ti V Te
2 1 4
direct
0.248 0.248 0.205
0.752 0.752 0.795
0.500 0.500 0.500
0.134 0.134 0.467
0.393 0.393 0.054
0.607 0.607 0.946
0.866 0.866 0.533


Entry 8:
K2Na6Zn4Si14O45 PBE-GGA relaxed; total moment = 13.99 μB/f.u.; crystal system = monoclinic; space-group type = Cm (8); formation energy = -2.08 eV/atom
1.0
3.712 -20.268 0.000
3.712 20.268 0.000
-0.257 0.000 7.309
K Na Zn Si O
2 6 4 14 45
direct
0.115 0.885 0.000
0.885 0.115 0.000
0.220 0.718 0.401
0.320 0.320 0.374
0.353 0.353 0.791
0.363 0.625 0.144
0.625 0.363 0.144
0.718 0.220 0.401
0.033 0.400 0.243
0.400 0.033 0.243
0.415 0.543 0.584
0.543 0.415 0.584
0.020 0.422 0.661
0.122 0.993 0.596
0.143 0.400 0.539
0.147 0.724 0.957
0.293 0.725 0.969
0.400 0.143 0.539
0.422 0.020 0.661
0.725 0.147 0.957
0.725 0.293 0.969
0.735 0.812 0.298
0.751 0.828 0.882
0.812 0.735 0.298
0.828 0.751 0.882
0.993 0.122 0.596
0.000 0.431 0.453
0.007 0.888 0.785
0.008 0.216 0.611
0.087 0.409 0.669
0.111 0.385 0.323
0.174 0.609 0.775
0.181 0.819 0.086
0.192 0.276 0.581
0.216 0.008 0.611
0.236 0.743 0.063
0.241 0.819 0.756
0.246 0.246 0.073
0.256 0.634 0.113
0.276 0.192 0.581
0.330 0.422 0.114
0.361 0.584 0.574
0.385 0.111 0.323
0.409 0.087 0.669
0.422 0.330 0.114
0.431 0.000 0.453
0.487 0.718 0.856
0.508 0.929 0.913
0.524 0.609 0.361
0.540 0.930 0.440
0.550 0.632 0.790
0.584 0.361 0.574
0.588 0.918 0.419
0.609 0.174 0.775
0.609 0.524 0.361
0.632 0.550 0.790
0.634 0.256 0.113
0.718 0.487 0.856
0.743 0.236 0.063
0.744 0.851 0.091
0.819 0.181 0.086
0.819 0.241 0.756
0.839 0.839 0.308
0.851 0.744 0.091
0.851 0.972 0.424
0.859 0.859 0.890
0.888 0.007 0.785
0.918 0.588 0.419
0.929 0.508 0.913
0.930 0.540 0.440
0.972 0.851 0.424